Entry from Materials Project: a relaxed U8VS17 crystal (meta-GGA r2SCAN).

abc: 7.9029 7.9029 10.4366
angles: 80.89 80.89 64.91
Closest atoms and distances in Å follow each position.
Positions (direct):
S (0.7927, 0.7927, 0.7212)  4 U 2.75-2.87
S (0.0594, 0.0594, 0.7719)  1 V 2.36
S (0.3251, 0.9420, 0.0290)  1 V 2.47, 1 U 2.73
S (0.1756, 0.5696, 0.4668)  4 U 2.77-2.89
S (0.0000, 0.0000, 0.5000)  6 U 2.87-2.98, 6 S 3.09-3.14
S (0.0580, 0.6749, 0.9710)  1 V 2.47, 1 U 2.73
S (0.4304, 0.8244, 0.5332)  4 U 2.77-2.89
S (0.4775, 0.4775, 0.1691)  4 U 2.83-3.07, 1 S 3.16
S (0.9406, 0.9406, 0.2281)  1 V 2.36
S (0.6959, 0.6959, 0.2450)  4 U 2.78-2.85
S (0.8244, 0.4304, 0.5332)  4 U 2.77-2.89
S (0.5225, 0.5225, 0.8309)  4 U 2.83-3.07, 1 S 3.16
S (0.2073, 0.2073, 0.2788)  4 U 2.75-2.87
S (0.6749, 0.0580, 0.9710)  1 V 2.47, 1 U 2.73
S (0.9420, 0.3251, 0.0290)  1 V 2.47, 1 U 2.73
S (0.5696, 0.1756, 0.4668)  4 U 2.77-2.89
S (0.3041, 0.3041, 0.7550)  4 U 2.78-2.85
U (0.2061, 0.2061, 0.5424)  8 S 2.75-2.87
U (0.2992, 0.8124, 0.2933)  8 S 2.73-2.98
U (0.7939, 0.7939, 0.4576)  8 S 2.75-2.87
U (0.7008, 0.1876, 0.7067)  8 S 2.73-2.98
U (0.8124, 0.2992, 0.2933)  8 S 2.73-2.98
U (0.1876, 0.7008, 0.7067)  8 S 2.73-2.98
U (0.3168, 0.3168, 0.0212)  7 S 2.73-2.92
U (0.6832, 0.6832, 0.9788)  7 S 2.73-2.92
V (0.0000, 0.0000, 0.0000)  6 S 2.36-2.47

density	7.160	g/cm3
SG	C2/m
total moment	0.731	μB per atom
DFT total energy	-32.20	eV/atom